Here is a relaxed structure of Pr3Ga2Ni2 from the Materials Project database. Energies are from GGA-PBE.

Structure (POSCAR):
```
Pr3Ga2Ni2
1.0
5.810 0.000 0.000
0.000 8.313 0.000
0.000 0.000 12.826
Pr Ni Ga
12 8 8
Direct
0.853 0.106 0.099
0.147 0.894 0.599
0.147 0.606 0.401
0.147 0.894 0.901
0.354 0.255 0.250
0.646 0.745 0.750
0.853 0.106 0.401
0.853 0.394 0.901
0.147 0.606 0.099
0.646 0.755 0.250
0.853 0.394 0.599
0.354 0.245 0.750
0.382 0.969 0.412
0.618 0.031 0.912
0.382 0.969 0.088
0.618 0.469 0.412
0.618 0.469 0.088
0.382 0.531 0.912
0.618 0.031 0.588
0.382 0.531 0.588
0.842 0.100 0.750
0.158 0.600 0.750
0.158 0.900 0.250
0.364 0.250 0.500
0.636 0.750 0.000
0.842 0.400 0.250
0.364 0.250 0.000
0.636 0.750 0.500
```

Results
ΔE_f: -0.48 eV per atom
E_tot: -0.18543 hartree per atom
calculated volume: 22.121 A^3/atom

---

Here is a relaxed structure of YHoAg2 from the Materials Project database. Energies are from GGA-PBE.

Structure (POSCAR):
```
YHoAg2
1.0
-3.918 -3.290 0.596
-3.691 -0.284 -3.581
-0.349 -4.162 -3.014
Y Ho Ag
1 1 2
Direct
0.000 0.000 0.000
0.500 0.500 0.500
0.750 0.750 0.750
0.250 0.250 0.250
```

Results
ΔE_f: -0.33 eV per atom
E_tot: -0.16586 hartree per atom
calculated volume: 24.155 A^3/atom

---

Here is a relaxed structure of RbC10 from the Materials Project database. Energies are from GGA-PBE.

Structure (POSCAR):
```
RbC10
1.0
-5.871 5.871 5.871
5.871 -5.871 5.871
5.871 5.871 -5.871
C Rb
60 6
Direct
0.023 0.640 0.863
0.640 0.618 0.778
0.618 0.977 0.840
0.259 0.420 0.283
0.641 0.939 0.702
0.136 0.976 0.717
0.222 0.360 0.382
0.137 0.778 0.160
0.222 0.840 0.863
0.420 0.283 0.259
0.717 0.741 0.580
0.298 0.237 0.939
0.136 0.420 0.160
0.840 0.864 0.580
0.717 0.136 0.976
0.024 0.160 0.741
0.283 0.864 0.024
0.160 0.382 0.023
0.763 0.061 0.702
0.840 0.259 0.976
0.160 0.137 0.778
0.298 0.359 0.061
0.360 0.382 0.222
0.976 0.717 0.136
0.061 0.702 0.763
0.360 0.137 0.977
0.702 0.763 0.061
0.618 0.778 0.640
0.580 0.840 0.864
0.741 0.024 0.160
0.237 0.939 0.298
0.382 0.023 0.160
0.840 0.863 0.222
0.160 0.741 0.024
0.863 0.023 0.640
0.939 0.298 0.237
0.024 0.283 0.864
0.259 0.976 0.840
0.864 0.580 0.840
0.977 0.360 0.137
0.976 0.840 0.259
0.864 0.024 0.283
0.359 0.061 0.298
0.778 0.160 0.137
0.061 0.298 0.359
0.640 0.863 0.023
0.741 0.580 0.717
0.160 0.136 0.420
0.939 0.702 0.641
0.283 0.259 0.420
0.420 0.160 0.136
0.863 0.222 0.840
0.023 0.160 0.382
0.137 0.977 0.360
0.840 0.618 0.977
0.977 0.840 0.618
0.382 0.222 0.360
0.778 0.640 0.618
0.702 0.641 0.939
0.580 0.717 0.741
0.500 0.779 0.279
0.779 0.279 0.500
0.500 0.221 0.721
0.721 0.500 0.221
0.279 0.500 0.779
0.221 0.721 0.500
```

Results
ΔE_f: 0.22 eV per atom
E_tot: -0.30366 hartree per atom
calculated volume: 12.266 A^3/atom

---

Here is a relaxed structure of Sc39N34 from the Materials Project database. Energies are from GGA-PBE.

Structure (POSCAR):
```
Sc39N34
1.0
1.610 -2.789 0.000
1.610 2.789 0.000
0.000 0.000 101.386
Sc N
39 34
Direct
0.333 0.667 0.014
0.000 0.000 0.886
0.667 0.333 0.218
0.333 0.667 0.244
0.667 0.333 0.295
0.333 0.667 0.935
0.000 0.000 0.807
0.333 0.667 0.397
0.000 0.000 0.114
0.000 0.000 0.962
0.000 0.000 0.346
0.667 0.333 0.910
0.333 0.667 0.474
0.667 0.333 0.372
0.333 0.667 0.321
0.333 0.667 0.090
0.000 0.000 0.269
0.667 0.333 0.065
0.667 0.333 0.142
0.333 0.667 0.628
0.667 0.333 0.833
0.333 0.667 0.782
0.000 0.000 0.577
0.333 0.667 0.167
0.000 0.000 0.500
0.333 0.667 0.551
0.667 0.333 0.679
0.000 0.000 0.731
0.667 0.333 0.756
0.000 0.000 0.654
0.000 0.000 0.038
0.000 0.000 0.193
0.667 0.333 0.986
0.333 0.667 0.858
0.667 0.333 0.603
0.667 0.333 0.449
0.333 0.667 0.705
0.000 0.000 0.423
0.667 0.333 0.526
0.667 0.333 0.641
0.333 0.667 0.436
0.000 0.000 0.076
0.333 0.667 0.513
0.667 0.333 0.564
0.000 0.000 0.692
0.333 0.667 0.897
0.667 0.333 0.795
0.667 0.333 0.487
0.333 0.667 0.744
0.333 0.667 0.205
0.667 0.333 0.179
0.333 0.667 0.667
0.667 0.333 0.333
0.000 0.000 0.153
0.000 0.000 0.462
0.333 0.667 0.282
0.667 0.333 0.718
0.333 0.667 0.974
0.333 0.667 0.590
0.667 0.333 0.410
0.667 0.333 0.026
0.000 0.000 0.308
0.667 0.333 0.103
0.000 0.000 0.924
0.000 0.000 0.615
0.000 0.000 0.231
0.000 0.000 0.769
0.333 0.667 0.359
0.000 0.000 0.385
0.000 0.000 0.847
0.333 0.667 0.821
0.667 0.333 0.256
0.000 0.000 0.538
```

Results
ΔE_f: -1.95 eV per atom
E_tot: -0.33266 hartree per atom
calculated volume: 12.473 A^3/atom

---

Here is a relaxed structure of Ho2ZnIr from the Materials Project database. Energies are from GGA-PBE.

Structure (POSCAR):
```
Ho2ZnIr
1.0
0.000 3.482 3.482
3.482 0.000 3.482
3.482 3.482 0.000
Zn Ho Ir
1 2 1
Direct
0.000 0.000 0.000
0.250 0.250 0.250
0.750 0.750 0.750
0.500 0.500 0.500
```

Results
ΔE_f: -0.66 eV per atom
E_tot: -0.20108 hartree per atom
calculated volume: 21.100 A^3/atom

---

Here is a relaxed structure of Ac2GaCu from the Materials Project database. Energies are from GGA-PBE.

Structure (POSCAR):
```
Ac2GaCu
1.0
0.000 3.831 3.831
3.831 0.000 3.831
3.831 3.831 0.000
Cu Ac Ga
1 2 1
Direct
0.500 0.500 0.500
0.250 0.250 0.250
0.750 0.750 0.750
0.000 0.000 0.000
```

Results
ΔE_f: -0.26 eV per atom
E_tot: -0.15068 hartree per atom
calculated volume: 28.122 A^3/atom

---

Here is a relaxed structure of K3Hg from the Materials Project database. Energies are from GGA-PBE.

Structure (POSCAR):
```
K3Hg
1.0
1.562 -7.022 -0.966
-3.269 -3.999 5.099
-2.481 5.106 -4.522
Hg K
1 3
Direct
0.000 0.000 0.000
0.750 0.250 0.500
0.500 0.500 0.000
0.250 0.750 0.500
```

Results
ΔE_f: -0.06 eV per atom
E_tot: -0.03547 hartree per atom
calculated volume: 51.476 A^3/atom

---

Here is a relaxed structure of PdI2 from the Materials Project database. Energies are from GGA-PBE.

Structure (POSCAR):
```
PdI2
1.0
0.000 -7.088 0.000
0.000 1.759 6.891
-8.977 0.000 0.000
I Pd
8 4
Direct
0.566 0.257 0.674
0.014 0.776 0.577
0.986 0.724 0.077
0.014 0.276 0.923
0.434 0.243 0.174
0.986 0.224 0.423
0.434 0.743 0.326
0.566 0.757 0.826
0.778 0.001 0.631
0.222 0.499 0.131
0.222 0.999 0.369
0.778 0.501 0.869
```

Results
ΔE_f: -0.50 eV per atom
E_tot: -0.10999 hartree per atom
calculated volume: 36.541 A^3/atom

---

Question: Among the records above, which one has the highest ΔE_f?
Answer: RbC10

---

Question: The highest E_tot belongs to which entry?
Answer: K3Hg

---

Question: Among the records above, which one has the highest E_tot?
Answer: K3Hg

---

What did the third record say?
Here is a relaxed structure of RbC10 from the Materials Project database. Energies are from GGA-PBE.

Structure (POSCAR):
```
RbC10
1.0
-5.871 5.871 5.871
5.871 -5.871 5.871
5.871 5.871 -5.871
C Rb
60 6
Direct
0.023 0.640 0.863
0.640 0.618 0.778
0.618 0.977 0.840
0.259 0.420 0.283
0.641 0.939 0.702
0.136 0.976 0.717
0.222 0.360 0.382
0.137 0.778 0.160
0.222 0.840 0.863
0.420 0.283 0.259
0.717 0.741 0.580
0.298 0.237 0.939
0.136 0.420 0.160
0.840 0.864 0.580
0.717 0.136 0.976
0.024 0.160 0.741
0.283 0.864 0.024
0.160 0.382 0.023
0.763 0.061 0.702
0.840 0.259 0.976
0.160 0.137 0.778
0.298 0.359 0.061
0.360 0.382 0.222
0.976 0.717 0.136
0.061 0.702 0.763
0.360 0.137 0.977
0.702 0.763 0.061
0.618 0.778 0.640
0.580 0.840 0.864
0.741 0.024 0.160
0.237 0.939 0.298
0.382 0.023 0.160
0.840 0.863 0.222
0.160 0.741 0.024
0.863 0.023 0.640
0.939 0.298 0.237
0.024 0.283 0.864
0.259 0.976 0.840
0.864 0.580 0.840
0.977 0.360 0.137
0.976 0.840 0.259
0.864 0.024 0.283
0.359 0.061 0.298
0.778 0.160 0.137
0.061 0.298 0.359
0.640 0.863 0.023
0.741 0.580 0.717
0.160 0.136 0.420
0.939 0.702 0.641
0.283 0.259 0.420
0.420 0.160 0.136
0.863 0.222 0.840
0.023 0.160 0.382
0.137 0.977 0.360
0.840 0.618 0.977
0.977 0.840 0.618
0.382 0.222 0.360
0.778 0.640 0.618
0.702 0.641 0.939
0.580 0.717 0.741
0.500 0.779 0.279
0.779 0.279 0.500
0.500 0.221 0.721
0.721 0.500 0.221
0.279 0.500 0.779
0.221 0.721 0.500
```

Results
ΔE_f: 0.22 eV per atom
E_tot: -0.30366 hartree per atom
calculated volume: 12.266 A^3/atom